Ti13Al4Si2Sb2O28: relaxed, PBE.

The structure in extended XYZ format:
```
49
Lattice="-7.454 5.218 8.256 5.065 -9.571 -5.804 5.512 -1.503 6.489" Properties=species:S:1:pos:R:3 pbc="T T T"
Ti -0.118 -2.303 7.849
Ti 1.283 -4.948 3.145
Ti -0.157 0.460 4.908
Ti 3.241 -3.554 1.092
Ti 1.840 -0.909 5.796
Ti 1.475 -5.331 -1.773
Ti 3.807 -3.232 3.587
Ti 0.000 0.000 0.000
Ti -0.295 -3.240 0.215
Ti -0.684 -2.625 5.354
Ti 3.280 -6.317 4.033
Ti -2.094 -1.114 2.236
Ti -3.865 0.977 4.224
Al 5.675 -5.532 1.898
Al 2.960 -6.836 0.853
Al -2.552 -0.325 7.043
Al 0.163 0.980 8.088
Si 1.234 -1.446 2.620
Si 1.888 -4.411 6.321
Sb -5.729 3.180 6.318
Sb 3.340 -7.533 -3.866
O -3.108 2.888 8.123
O 3.983 -5.452 0.330
O -0.212 -4.550 4.598
O -0.040 -1.518 1.561
O -0.860 -0.405 8.611
O 6.231 -8.745 0.818
O -3.927 -0.183 5.849
O 7.050 -5.674 3.092
O 3.162 -4.339 7.380
O 5.224 -3.264 5.200
O 1.924 -2.950 2.593
O -2.324 1.362 10.426
O 1.427 0.968 9.406
O -0.330 -4.687 1.751
O 2.564 -4.520 4.815
O 3.335 -1.307 4.343
O 3.452 -1.170 7.190
O -2.102 -2.593 3.741
O 1.696 -6.825 -0.465
O 1.661 -3.698 -0.301
O 1.462 -2.159 9.243
O 0.559 -1.337 4.126
O -1.822 0.416 3.610
O -1.515 1.043 6.505
O 1.199 -2.907 6.348
O 4.944 -6.273 5.331
O 5.447 -7.219 -1.485
O 4.638 -6.900 2.437
```

Values from the calculation:
- symmetry = C2/m, No. 12
- formation energy from the elements (kcal/mol of atoms) = -64.47
- electronic total energy (eV/atom) = -8.021


Sr2AlSbO6: relaxed, PBE.

The structure in extended XYZ format:
```
10
Lattice="0.010 -4.487 3.277 -1.886 0.364 5.213 -4.797 -2.432 1.395" Properties=species:S:1:pos:R:3 pbc="T T T"
Sr -1.668 -1.639 2.471
Sr -5.005 -4.916 7.414
Al 0.000 0.000 0.000
Sb -3.336 -3.277 4.943
O -1.637 -3.891 4.097
O -5.036 -2.663 5.789
O -2.600 -1.428 5.080
O -4.073 -5.126 4.805
O -4.078 -2.848 3.141
O -2.595 -3.707 6.744
```

Values from the calculation:
- symmetry = Fm-3m, No. 225
- formation energy from the elements (kcal/mol of atoms) = -67.52
- electronic total energy (eV/atom) = -6.610


ScAlO3: relaxed, PBE.

The structure in extended XYZ format:
```
20
Lattice="-2.674 -3.124 2.798 3.669 -3.719 -0.645 3.462 2.381 5.967" Properties=species:S:1:pos:R:3 pbc="T T T"
Sc 2.902 -1.313 5.534
Sc -1.499 -2.714 4.184
Sc 5.956 -1.748 3.936
Sc 1.555 -3.149 2.586
Al -1.337 -1.562 1.399
Al 1.835 -1.860 -0.322
Al 3.566 -0.669 2.661
Al 0.394 -0.371 4.382
O 3.447 0.906 6.006
O -0.516 -3.148 2.113
O 3.675 -2.207 3.769
O 2.308 -4.475 4.352
O 1.009 -5.368 2.113
O 4.973 -1.314 6.007
O 0.782 -2.255 4.351
O 2.149 0.013 3.768
O 2.207 -1.476 1.540
O 1.100 -0.327 6.186
O 3.357 -4.135 1.934
O 2.250 -2.986 6.580
```

Values from the calculation:
- symmetry = Pnma, No. 62
- formation energy from the elements (kcal/mol of atoms) = -84.62
- electronic total energy (eV/atom) = -8.242


Sm3Sc2Al3O12: relaxed, PBE.

The structure in extended XYZ format:
```
80
Lattice="7.529 3.967 -6.804 -5.109 8.242 4.969 4.814 -6.316 7.461" Properties=species:S:1:pos:R:3 pbc="T T T"
Sm 0.568 3.293 1.095
Sm 6.666 2.601 4.531
Sm 6.814 1.637 -1.684
Sm 1.469 0.188 3.190
Sm -0.406 6.880 2.108
Sm 0.421 4.256 7.310
Sm 5.765 5.706 2.436
Sm 7.641 -0.986 3.518
Sm 3.388 0.939 -0.065
Sm 3.846 4.955 5.691
Sm 2.636 -1.150 6.608
Sm 4.599 7.044 -0.983
Sc 0.000 0.000 0.000
Sc 6.171 -1.174 0.328
Sc -0.148 0.963 6.215
Sc 3.765 1.984 -3.402
Sc 1.210 6.105 -0.917
Sc 3.617 2.947 2.813
Sc 2.407 -3.158 3.730
Sc -2.554 4.121 2.484
Al 0.495 3.775 4.202
Al 6.740 2.119 1.423
Al 1.779 9.398 0.177
Al 4.555 -0.399 3.354
Al 2.680 6.293 2.272
Al 5.456 -3.504 5.448
Al 1.322 1.151 9.404
Al 5.913 4.742 -3.779
Al 3.994 3.991 -0.524
Al 3.241 1.902 6.150
Al 9.560 -0.235 0.263
Al -2.325 6.129 5.362
O 3.066 3.176 0.779
O 4.169 2.718 4.847
O 4.475 2.556 -1.488
O 9.134 0.838 -1.112
O 1.551 2.707 3.219
O -0.925 6.928 4.574
O 2.759 3.338 7.114
O -1.899 5.056 6.737
O 5.684 3.187 2.407
O 8.159 -1.034 1.052
O 2.903 -3.024 8.104
O -0.507 4.488 2.894
O 1.829 -0.661 0.844
O 4.332 8.918 -2.478
O 7.741 1.406 2.732
O 5.406 6.555 4.782
O 0.457 9.127 1.362
O 1.872 0.892 5.575
O 6.777 -3.233 4.264
O 5.362 5.001 0.050
O 8.154 1.782 -3.684
O 4.163 0.662 7.062
O -0.920 4.112 9.310
O 3.071 5.232 -1.436
O 3.661 0.861 2.439
O 1.647 7.360 3.281
O 3.573 5.033 3.187
O 5.588 -1.466 2.345
O 2.248 -0.320 8.956
O -0.318 1.047 1.815
O 4.987 6.213 -3.330
O 7.553 4.847 3.810
O -2.143 8.505 2.513
O 6.890 4.038 -2.448
O 9.377 -2.612 3.113
O 0.344 1.856 8.073
O 3.173 -1.226 4.148
O 1.437 5.658 1.142
O 4.061 7.120 1.478
O 5.798 0.235 4.483
O 4.979 -2.049 6.385
O 2.255 7.942 -0.760
O 1.064 1.711 -0.658
O 6.170 4.182 6.284
O 7.672 2.962 0.141
O -0.437 2.932 5.485
O 5.862 0.921 0.414
O 1.372 4.973 5.211
```

Values from the calculation:
- symmetry = Ia-3d, No. 230
- formation energy from the elements (kcal/mol of atoms) = -87.38
- electronic total energy (eV/atom) = -8.248